No. 1
DFT (GGA+U) results for a geometry-optimized Li9Mn2Co5O16 structure.

Calculated values
Symmetry: Cm, No. 8
DFT total energy: -185.4 eV per formula unit
MP2020-corrected energy: -207.959 eV for the cell shown
Mass density: 4.15 g cm⁻³
Energy above the most stable polymorph in this dataset: 60 meV/atom

```
Li9Mn2Co5O16
1.0
-4.405 0.538 2.514
-2.451 -0.297 4.463
2.447 19.698 5.991
O Li Co Mn
16 9 5 2
direct
0.391 0.391 0.466
0.385 0.385 0.972
0.623 0.623 0.526
0.115 0.115 0.655
0.610 0.610 0.279
0.118 0.118 0.403
0.604 0.604 0.783
0.392 0.392 0.222
0.883 0.883 0.342
0.882 0.882 0.086
0.384 0.384 0.725
0.877 0.877 0.850
0.889 0.889 0.594
0.125 0.125 0.162
0.106 0.106 0.911
0.608 0.608 0.029
0.742 0.742 0.941
0.755 0.755 0.434
0.254 0.254 0.557
0.756 0.756 0.184
0.258 0.258 0.310
0.746 0.746 0.688
0.247 0.247 0.070
0.496 0.496 0.124
0.250 0.250 0.817
0.994 0.994 0.754
0.012 0.012 0.240
0.499 0.499 0.371
0.494 0.494 0.878
0.009 0.009 0.495
0.993 0.993 0.006
0.503 0.503 0.624
```

---

No. 2
DFT (GGA+U) results for a geometry-optimized Li2FeF4 structure.

Calculated values
Symmetry: P4_122, No. 91
DFT total energy: -36.1 eV per formula unit
MP2020-corrected energy: -160.957 eV for the cell shown
Mass density: 3.08 g cm⁻³
Energy above the most stable polymorph in this dataset: 0 meV/atom

```
Li2FeF4
1.0
6.053 0.000 0.000
0.000 6.053 0.000
0.000 0.000 8.578
F Fe Li
16 4 8
direct
0.980 0.248 0.249
0.752 0.483 0.007
0.248 0.517 0.507
0.752 0.980 0.499
0.483 0.752 0.743
0.248 0.483 0.993
0.752 0.517 0.493
0.483 0.248 0.757
0.020 0.752 0.749
0.980 0.752 0.251
0.248 0.980 0.501
0.020 0.248 0.751
0.517 0.248 0.243
0.752 0.020 0.001
0.517 0.752 0.257
0.248 0.020 0.999
0.261 0.000 0.750
0.000 0.739 0.500
0.739 0.000 0.250
0.000 0.261 0.000
0.743 0.257 0.625
0.500 0.731 0.500
0.269 0.500 0.750
0.257 0.257 0.375
0.731 0.500 0.250
0.500 0.269 0.000
0.743 0.743 0.875
0.257 0.743 0.125
```

---

No. 3
DFT (GGA+U) results for a geometry-optimized La3SmV2Cr2O12 structure.

Calculated values
Symmetry: Pmm2, No. 25
DFT total energy: -162.7 eV per formula unit
MP2020-corrected energy: -178.361 eV for the cell shown
Mass density: 6.59 g cm⁻³

```
La3SmV2Cr2O12
1.0
3.909 0.000 0.000
0.000 7.883 0.000
0.000 0.000 7.886
O La Cr Sm V
12 3 2 1 2
direct
0.500 0.497 0.752
0.000 0.499 0.500
0.000 0.253 0.755
0.000 0.997 0.500
0.000 0.007 0.000
0.500 0.002 0.248
0.500 0.002 0.752
0.000 0.747 0.251
0.000 0.497 0.000
0.000 0.253 0.245
0.000 0.747 0.749
0.500 0.497 0.248
0.500 0.251 0.500
0.500 0.746 0.500
0.500 0.749 0.000
0.000 0.499 0.249
0.000 0.499 0.751
0.500 0.255 0.000
0.000 0.001 0.751
0.000 0.001 0.249
```

---

No. 4
DFT (GGA+U) results for a geometry-optimized Li4Cr3Fe3Sn2O16 structure.

Calculated values
Symmetry: Cm, No. 8
DFT total energy: -182.3 eV per formula unit
MP2020-corrected energy: -206.026 eV for the cell shown
Mass density: 4.90 g cm⁻³
Energy above the most stable polymorph in this dataset: 44 meV/atom

```
Li4Cr3Fe3Sn2O16
1.0
5.846 0.012 0.019
-2.912 5.045 -0.001
0.031 0.017 9.695
O Cr Li Sn Fe
16 3 4 2 3
direct
0.033 0.517 0.337
0.686 0.843 0.607
0.995 0.998 0.309
0.155 0.838 0.602
0.489 0.968 0.333
0.838 0.155 0.103
0.523 0.035 0.833
0.489 0.521 0.333
0.523 0.488 0.833
0.969 0.484 0.835
0.339 0.670 0.108
0.671 0.335 0.610
0.315 0.158 0.101
0.837 0.682 0.103
0.155 0.317 0.602
0.988 0.994 0.807
0.169 0.341 0.216
0.337 0.168 0.716
0.169 0.828 0.216
0.997 0.998 0.495
0.997 0.998 0.993
0.670 0.335 0.392
0.337 0.668 0.892
0.336 0.668 0.493
0.665 0.332 0.992
0.661 0.830 0.215
0.830 0.175 0.715
0.830 0.656 0.715
```

---

No. 5
DFT (GGA+U) results for a geometry-optimized Zn2SbWO6 structure.

Calculated values
Symmetry: P2_1/m, No. 11
DFT total energy: -58.0 eV per formula unit
MP2020-corrected energy: -133.023 eV for the cell shown
Mass density: 7.24 g cm⁻³
Energy above the most stable polymorph in this dataset: 45 meV/atom

```
Zn2SbWO6
1.0
-7.366 0.114 3.309
2.188 -0.906 4.902
0.529 5.447 0.989
O Sb Zn W
12 2 4 2
direct
0.427 0.852 0.184
0.250 0.381 0.871
0.750 0.102 0.378
0.750 0.619 0.129
0.573 0.684 0.632
0.250 0.898 0.622
0.927 0.684 0.632
0.573 0.148 0.816
0.927 0.148 0.816
0.073 0.852 0.184
0.073 0.316 0.368
0.427 0.316 0.368
0.000 0.500 0.000
0.500 0.500 0.000
0.250 0.019 0.984
0.750 0.981 0.016
0.750 0.478 0.476
0.250 0.522 0.524
0.000 0.000 0.500
0.500 0.000 0.500
```

---

No. 6
DFT (GGA+U) results for a geometry-optimized LiVCrP4O14 structure.

Calculated values
Symmetry: P1, No. 1
DFT total energy: -153.8 eV per formula unit
MP2020-corrected energy: -501.238 eV for the cell shown
Mass density: 2.91 g cm⁻³
Energy above the most stable polymorph in this dataset: 2 meV/atom

```
LiVCrP4O14
1.0
-2.999 3.590 -5.426
-1.510 -6.958 -3.787
-12.764 0.097 4.853
O P V Li Cr
42 12 3 3 3
direct
0.534 0.435 0.560
0.631 0.148 0.617
0.461 0.668 0.931
0.371 0.538 0.099
0.232 0.353 0.249
0.037 0.539 0.431
0.812 0.934 0.106
0.299 0.148 0.948
0.084 0.331 0.064
0.696 0.689 0.418
0.634 0.190 0.254
0.130 0.677 0.263
0.284 0.042 0.231
0.364 0.648 0.387
0.965 0.147 0.283
0.697 0.647 0.053
0.968 0.197 0.917
0.028 0.688 0.086
0.194 0.437 0.893
0.951 0.042 0.566
0.140 0.932 0.773
0.712 0.541 0.766
0.765 0.853 0.747
0.624 0.039 0.901
0.423 0.848 0.085
0.091 0.849 0.420
0.572 0.348 0.911
0.539 0.181 0.069
0.899 0.353 0.582
0.256 0.825 0.602
0.300 0.191 0.589
0.796 0.675 0.596
0.033 0.645 0.718
0.418 0.338 0.732
0.875 0.182 0.736
0.749 0.334 0.397
0.363 0.683 0.748
0.479 0.934 0.440
0.587 0.824 0.268
0.867 0.435 0.227
0.922 0.819 0.935
0.210 0.178 0.402
0.204 0.783 0.710
0.480 0.678 0.042
0.796 0.281 0.288
0.133 0.281 0.955
0.850 0.181 0.627
0.817 0.683 0.707
0.522 0.176 0.959
0.185 0.180 0.295
0.535 0.783 0.376
0.147 0.679 0.375
0.462 0.283 0.623
0.868 0.782 0.043
0.781 0.495 0.495
0.116 0.495 0.162
0.443 0.507 0.829
0.824 0.864 0.501
0.159 0.864 0.166
0.839 0.362 0.833
0.887 0.997 0.838
0.557 0.006 0.170
0.225 0.005 0.505
```

---

No. 7
DFT (GGA+U) results for a geometry-optimized CrSi2O6 structure.

Calculated values
Symmetry: C2/c, No. 15
DFT total energy: -68.8 eV per formula unit
MP2020-corrected energy: -149.907 eV for the cell shown
Mass density: 3.22 g cm⁻³
Energy above the most stable polymorph in this dataset: 0 meV/atom

```
CrSi2O6
1.0
4.375 4.820 0.000
-4.375 4.820 0.000
0.000 1.890 4.993
O Cr Si
12 2 4
direct
0.545 0.684 0.373
0.146 0.136 0.036
0.854 0.864 0.964
0.864 0.854 0.464
0.316 0.455 0.127
0.401 0.880 0.779
0.136 0.146 0.536
0.880 0.401 0.279
0.599 0.120 0.221
0.455 0.316 0.627
0.120 0.599 0.721
0.684 0.545 0.873
0.398 0.602 0.750
0.602 0.398 0.250
0.284 0.114 0.745
0.114 0.284 0.245
0.886 0.716 0.755
0.716 0.886 0.255
```

---

No. 8
DFT (GGA+U) results for a geometry-optimized Li3MnV4O12 structure.

Calculated values
Symmetry: C2, No. 5
DFT total energy: -141.5 eV per formula unit
MP2020-corrected energy: -316.392 eV for the cell shown
Mass density: 2.93 g cm⁻³
Energy above the most stable polymorph in this dataset: 0 meV/atom

```
Li3MnV4O12
1.0
5.529 1.438 5.288
-2.267 8.445 5.501
-0.841 -5.651 5.288
Li O V Mn
6 24 8 2
direct
0.125 0.380 0.265
0.219 0.625 0.406
0.239 0.125 0.886
0.784 0.878 0.101
0.115 0.870 0.745
0.777 0.372 0.587
0.353 0.919 0.286
0.768 0.553 0.537
0.371 0.201 0.089
0.637 0.302 0.420
0.972 0.785 0.591
0.888 0.443 0.818
0.776 0.051 0.027
0.368 0.674 0.011
0.370 0.693 0.569
0.633 0.331 0.978
0.112 0.049 0.678
0.215 0.965 0.989
0.636 0.076 0.725
0.194 0.465 0.493
0.881 0.948 0.311
0.664 0.576 0.208
0.124 0.557 0.187
0.976 0.285 0.070
0.352 0.174 0.538
0.016 0.697 0.930
0.625 0.807 0.919
0.623 0.829 0.488
0.341 0.421 0.798
0.024 0.199 0.423
0.391 0.345 0.537
0.807 0.905 0.514
0.391 0.843 0.045
0.604 0.663 0.456
0.798 0.407 0.016
0.603 0.162 0.956
0.206 0.088 0.486
0.207 0.587 0.983
0.906 0.125 0.219
0.909 0.625 0.716
```

---

No. 9
DFT (GGA+U) results for a geometry-optimized Mn3CrP6O24 structure.

Calculated values
Symmetry: R3, No. 146
DFT total energy: -240.8 eV per formula unit
MP2020-corrected energy: -264.296 eV for the cell shown
Mass density: 2.97 g cm⁻³

```
Mn3CrP6O24
1.0
-4.630 1.972 -7.054
-2.140 -5.985 -5.889
-8.169 -2.705 -1.014
P O Cr Mn
6 24 1 3
direct
0.967 0.532 0.252
0.252 0.967 0.532
0.532 0.252 0.967
0.750 0.034 0.464
0.464 0.750 0.034
0.034 0.464 0.750
0.927 0.058 0.280
0.280 0.927 0.058
0.781 0.007 0.638
0.572 0.220 0.445
0.007 0.638 0.781
0.220 0.445 0.572
0.514 0.270 0.143
0.075 0.937 0.719
0.860 0.486 0.726
0.560 0.426 0.780
0.058 0.280 0.927
0.227 0.988 0.358
0.638 0.781 0.007
0.486 0.726 0.860
0.426 0.780 0.560
0.270 0.143 0.514
0.988 0.358 0.227
0.358 0.227 0.988
0.143 0.514 0.270
0.726 0.860 0.486
0.719 0.075 0.937
0.937 0.719 0.075
0.780 0.560 0.426
0.445 0.572 0.220
0.858 0.858 0.858
0.644 0.644 0.644
0.144 0.144 0.144
0.356 0.356 0.356
```

---

No. 10
DFT (GGA+U) results for a geometry-optimized Ti3VCo2P6O24 structure.

Calculated values
Symmetry: R3, No. 146
DFT total energy: -275.0 eV per formula unit
MP2020-corrected energy: -296.427 eV for the cell shown
Mass density: 3.20 g cm⁻³

```
Ti3VCo2P6O24
1.0
7.472 -4.336 0.000
7.472 4.336 0.000
4.956 0.000 7.076
O Ti P V Co
24 3 6 1 2
direct
0.690 0.879 0.501
0.380 0.188 0.003
0.587 0.236 0.437
0.005 0.615 0.810
0.003 0.380 0.188
0.765 0.555 0.415
0.945 0.735 0.090
0.056 0.263 0.914
0.615 0.810 0.005
0.090 0.945 0.735
0.188 0.003 0.380
0.437 0.587 0.236
0.810 0.005 0.615
0.236 0.437 0.587
0.315 0.119 0.495
0.495 0.315 0.119
0.735 0.090 0.945
0.119 0.495 0.315
0.501 0.690 0.879
0.879 0.501 0.690
0.914 0.056 0.263
0.263 0.914 0.056
0.555 0.415 0.765
0.415 0.765 0.555
0.357 0.357 0.357
0.143 0.143 0.143
0.643 0.643 0.643
0.542 0.250 0.958
0.958 0.542 0.250
0.250 0.958 0.542
0.042 0.459 0.751
0.751 0.042 0.459
0.459 0.751 0.042
0.858 0.858 0.858
0.499 0.499 0.499
0.000 0.000 0.000
```

---

No. 11
DFT (GGA+U) results for a geometry-optimized LiCoBO3 structure.

Calculated values
Symmetry: P-1, No. 2
DFT total energy: -40.0 eV per formula unit
MP2020-corrected energy: -174.752 eV for the cell shown
Mass density: 3.09 g cm⁻³
Energy above the most stable polymorph in this dataset: 67 meV/atom

```
LiCoBO3
1.0
-0.134 -0.018 3.114
9.145 0.001 0.480
0.003 9.385 -0.053
O Co Li B
12 4 4 4
direct
0.746 0.454 0.280
0.240 0.954 0.220
0.748 0.688 0.166
0.753 0.822 0.919
0.252 0.188 0.334
0.749 0.679 0.419
0.760 0.046 0.780
0.251 0.321 0.581
0.252 0.312 0.834
0.748 0.812 0.666
0.247 0.178 0.081
0.254 0.546 0.720
0.256 0.798 0.062
0.744 0.202 0.938
0.750 0.298 0.438
0.250 0.702 0.562
0.747 0.865 0.303
0.246 0.365 0.197
0.253 0.135 0.697
0.754 0.635 0.803
0.748 0.603 0.289
0.754 0.897 0.789
0.246 0.103 0.211
0.252 0.397 0.711
```